P | The following is a GGA-PBE calculation of Rb12LiCl4O4 after structural relaxation, from the Materials Project.

Cell lengths 7.7348, 10.5816, 8.5418 Å; angles 90.00, 96.38, 90.00 degrees
Closest atoms and distances in Å follow each position.
Space group Pm (No. 6)
Inequivalent atoms, fractional coordinates:
Rb  0.0000  0.0000  0.0000 (multiplicity 1)  2 O 2.80
Rb  0.1085  0.2842  0.2373 (multiplicity 2)  2 O 2.79-2.92
Rb  0.1561  0.3080  0.7749 (multiplicity 2)  1 O 2.63
Rb  0.2072  0.0000  0.5259 (multiplicity 1)  1 Li 2.73, 2 O 2.73
Rb  0.4924  0.5000  0.4213 (multiplicity 1)  2 Cl 3.20-3.34
Rb  0.6027  0.2143  0.1174 (multiplicity 2)  2 O 2.89-2.92, 1 Li 3.21
Rb  0.6678  0.1897  0.6408 (multiplicity 2)  2 O 2.84-2.98
Rb  0.7738  0.5000  0.9180 (multiplicity 1)  2 O 2.81
Li  0.4770  0.0000  0.3457 (multiplicity 1)  2 O 1.88
Cl  0.3597  0.5000  0.0534 (multiplicity 1)  8 Rb 3.20-3.57
Cl  0.4059  0.0000  0.8745 (multiplicity 1)  4 Rb 3.20-3.43
Cl  0.8270  0.0000  0.3471 (multiplicity 1)  1 Li 2.71
Cl  0.9261  0.5000  0.4845 (multiplicity 1)  5 Rb 3.34-3.53
O  0.4075  0.1670  0.3810 (multiplicity 2)  1 Li 1.88
O  0.8968  0.2497  0.9357 (multiplicity 2)  5 Rb 2.63-2.92



Q | The following is a GGA-PBE calculation of Rb12LiCl4O4 after structural relaxation, from the Materials Project.

Cell lengths 7.7217, 8.3581, 10.9336 Å; angles 90.73, 91.48, 91.46 degrees
Closest atoms and distances in Å follow each position.
Space group P1 (No. 1)
Inequivalent atoms, fractional coordinates:
Rb  0.0000  0.0000  0.0000 (multiplicity 1)  2 O 2.72-2.80, 1 Li 2.92
Rb  0.0079  0.0299  0.5461 (multiplicity 1)  2 O 2.89-2.91
Rb  0.0858  0.6108  0.9567 (multiplicity 1)  2 O 2.74-2.86, 1 Li 2.79
Rb  0.1075  0.5456  0.5868 (multiplicity 1)  2 O 2.87-2.93
Rb  0.2381  0.7912  0.2837 (multiplicity 1)  2 O 2.77-2.93
Rb  0.3957  0.9110  0.7713 (multiplicity 1)  2 O 2.75-2.93
Rb  0.5272  0.1302  0.4714 (multiplicity 1)  2 O 2.84-3.03
Rb  0.5458  0.0945  0.0826 (multiplicity 1)  1 O 2.71
Rb  0.5709  0.6275  0.0461 (multiplicity 1)  1 O 2.73
Rb  0.6054  0.6290  0.5064 (multiplicity 1)  2 O 2.90-3.07
Rb  0.7675  0.3374  0.7873 (multiplicity 1)  2 O 2.79-2.95
Rb  0.8965  0.3521  0.2846 (multiplicity 1)  2 O 2.79-2.83
Li  0.1643  0.3131  0.0530 (multiplicity 1)  1 O 1.79
Cl  0.3407  0.3823  0.2341 (multiplicity 1)  1 Li 2.43
Cl  0.3518  0.3256  0.8762 (multiplicity 1)  1 Li 2.45
Cl  0.7995  0.7692  0.7800 (multiplicity 1)  4 Rb 3.22-3.49
Cl  0.7999  0.8558  0.2620 (multiplicity 1)  6 Rb 3.43-3.72
O  0.3111  0.8351  0.5310 (multiplicity 1)  6 Rb 2.75-3.03
O  0.3184  0.8496  0.0275 (multiplicity 1)  6 Rb 2.71-2.93
O  0.8209  0.3272  0.5355 (multiplicity 1)  6 Rb 2.79-3.07
O  0.9330  0.3149  0.0329 (multiplicity 1)  1 Li 1.79



Energy ordering: P at the bottom, the next structure 0.026 eV/atom above.